DFT (PBE+U) results for a geometry-optimized Ba2Co3O7 structure.

Structure (POSCAR):
```
Ba2Co3O7
1.0
3.734 0.000 0.000
0.000 3.748 0.000
0.000 0.000 12.997
Ba Co O
2 3 7
Direct
0.000 0.000 0.000
0.000 0.000 0.386
0.500 0.500 0.193
0.500 0.500 0.566
0.500 0.500 0.818
0.000 0.500 0.545
0.000 0.500 0.835
0.500 0.000 0.192
0.500 0.000 0.561
0.500 0.000 0.832
0.500 0.500 0.054
0.500 0.500 0.331
```

Summary:
energy above the most stable polymorph in this dataset	0	meV/atom
ΔH_f (0 K)	-1647	meV/atom
total moment	10.013	μB per formula unit


DFT (PBE+U) results for a geometry-optimized LiVCrP4O14 structure.

Structure (POSCAR):
```
LiVCrP4O14
1.0
7.166 0.000 0.000
0.009 8.070 0.000
3.532 0.001 9.023
Li V Cr P O
2 2 2 8 28
Direct
0.000 0.000 0.000
0.152 0.502 0.501
0.111 0.134 0.494
0.606 0.145 0.994
0.045 0.635 0.007
0.550 0.644 0.507
0.041 0.321 0.812
0.114 0.818 0.691
0.233 0.920 0.183
0.428 0.422 0.815
0.536 0.316 0.314
0.619 0.814 0.190
0.728 0.921 0.685
0.924 0.420 0.315
0.033 0.457 0.152
0.063 0.326 0.379
0.075 0.313 0.644
0.084 0.820 0.855
0.086 0.835 0.126
0.129 0.969 0.347
0.186 0.990 0.624
0.245 0.679 0.600
0.252 0.284 0.829
0.325 0.075 0.090
0.332 0.571 0.910
0.398 0.176 0.399
0.403 0.786 0.172
0.458 0.486 0.379
0.533 0.463 0.652
0.567 0.321 0.872
0.574 0.305 0.147
0.581 0.818 0.354
0.583 0.829 0.634
0.630 0.976 0.848
0.694 0.986 0.117
0.748 0.285 0.331
0.752 0.677 0.101
0.832 0.073 0.591
0.837 0.573 0.410
0.900 0.786 0.676
0.907 0.178 0.900
0.967 0.490 0.872
```

Summary:
energy above the most stable polymorph in this dataset	3	meV/atom
ΔH_f (0 K)	-2643	meV/atom
total moment	4.001	μB per formula unit


DFT (PBE+U) results for a geometry-optimized MgMn2O4 structure.

Structure (POSCAR):
```
MgMn2O4
1.0
0.000 4.301 4.301
4.301 0.000 4.301
4.301 4.301 0.000
Mg Mn O
2 4 8
Direct
0.125 0.125 0.125
0.875 0.875 0.875
0.000 0.500 0.500
0.500 0.000 0.500
0.500 0.500 0.000
0.500 0.500 0.500
0.261 0.261 0.261
0.261 0.261 0.718
0.261 0.718 0.261
0.282 0.739 0.739
0.718 0.261 0.261
0.739 0.282 0.739
0.739 0.739 0.282
0.739 0.739 0.739
```

Summary:
energy above the most stable polymorph in this dataset	243	meV/atom
ΔH_f (0 K)	-2099	meV/atom
total moment	1.000	μB per formula unit


DFT (PBE+U) results for a geometry-optimized CaNiMoP2O9 structure.

Structure (POSCAR):
```
CaNiMoP2O9
1.0
14.460 0.000 0.000
0.000 6.613 0.000
0.000 0.000 7.637
Ca Ni Mo P O
4 4 4 8 36
Direct
0.219 0.250 0.112
0.281 0.750 0.612
0.719 0.250 0.388
0.781 0.750 0.888
0.000 0.000 0.000
0.000 0.500 0.000
0.500 0.000 0.500
0.500 0.500 0.500
0.117 0.250 0.650
0.383 0.750 0.150
0.617 0.250 0.850
0.883 0.750 0.350
0.065 0.750 0.655
0.190 0.750 0.113
0.310 0.250 0.613
0.435 0.250 0.155
0.565 0.750 0.845
0.690 0.750 0.387
0.810 0.250 0.887
0.935 0.250 0.345
0.011 0.250 0.486
0.017 0.750 0.834
0.057 0.250 0.870
0.132 0.554 0.107
0.132 0.568 0.634
0.132 0.932 0.634
0.132 0.946 0.107
0.234 0.250 0.466
0.247 0.250 0.783
0.253 0.750 0.283
0.266 0.750 0.966
0.368 0.054 0.607
0.368 0.068 0.134
0.368 0.432 0.134
0.368 0.446 0.607
0.443 0.750 0.370
0.483 0.250 0.334
0.489 0.750 0.986
0.511 0.250 0.014
0.517 0.750 0.666
0.557 0.250 0.630
0.632 0.554 0.393
0.632 0.568 0.866
0.632 0.932 0.866
0.632 0.946 0.393
0.734 0.250 0.034
0.747 0.250 0.717
0.753 0.750 0.217
0.766 0.750 0.534
0.868 0.054 0.893
0.868 0.068 0.366
0.868 0.432 0.366
0.868 0.446 0.893
0.943 0.750 0.130
0.983 0.250 0.166
0.989 0.750 0.514
```

Summary:
ΔH_f (0 K)	-2574	meV/atom
total moment	4.000	μB per formula unit


DFT (PBE+U) results for a geometry-optimized Li3Co2O5 structure.

Structure (POSCAR):
```
Li3Co2O5
1.0
5.027 0.000 0.000
-1.732 5.550 0.000
-0.862 -1.878 6.200
Li Co O
6 4 10
Direct
0.000 0.000 0.000
0.000 0.500 0.000
0.200 0.402 0.397
0.392 0.798 0.806
0.608 0.202 0.194
0.800 0.598 0.603
0.197 0.892 0.394
0.406 0.305 0.805
0.594 0.695 0.195
0.803 0.108 0.606
0.110 0.425 0.700
0.118 0.976 0.704
0.325 0.843 0.119
0.331 0.371 0.092
0.489 0.244 0.520
0.511 0.756 0.480
0.669 0.629 0.908
0.675 0.157 0.881
0.882 0.024 0.296
0.890 0.575 0.300
```

Summary:
energy above the most stable polymorph in this dataset	100	meV/atom
ΔH_f (0 K)	-1642	meV/atom
total moment	7.002	μB per formula unit


DFT (PBE+U) results for a geometry-optimized Li9Mn2Co5O16 structure.

Structure (POSCAR):
```
Li9Mn2Co5O16
1.0
5.222 -2.843 0.000
5.222 2.843 0.000
-1.247 0.000 9.557
Li Mn Co O
9 2 5 16
Direct
0.000 0.000 0.000
0.124 0.623 0.752
0.125 0.125 0.761
0.371 0.371 0.243
0.377 0.876 0.248
0.623 0.124 0.752
0.629 0.629 0.757
0.875 0.875 0.239
0.876 0.377 0.248
0.250 0.750 0.500
0.750 0.250 0.500
0.000 0.500 0.000
0.250 0.250 0.501
0.500 0.000 0.000
0.500 0.500 0.000
0.750 0.750 0.499
0.052 0.052 0.378
0.052 0.550 0.385
0.185 0.655 0.100
0.196 0.196 0.109
0.300 0.300 0.882
0.345 0.815 0.900
0.447 0.447 0.621
0.450 0.948 0.615
0.550 0.052 0.385
0.553 0.553 0.379
0.655 0.185 0.100
0.700 0.700 0.118
0.804 0.804 0.891
0.815 0.345 0.900
0.948 0.450 0.615
0.948 0.948 0.622
```

Summary:
energy above the most stable polymorph in this dataset	63	meV/atom
ΔH_f (0 K)	-1801	meV/atom
total moment	15.939	μB per formula unit


Please write out number 2 again, unchanged.
DFT (PBE+U) results for a geometry-optimized LiVCrP4O14 structure.

Structure (POSCAR):
```
LiVCrP4O14
1.0
7.166 0.000 0.000
0.009 8.070 0.000
3.532 0.001 9.023
Li V Cr P O
2 2 2 8 28
Direct
0.000 0.000 0.000
0.152 0.502 0.501
0.111 0.134 0.494
0.606 0.145 0.994
0.045 0.635 0.007
0.550 0.644 0.507
0.041 0.321 0.812
0.114 0.818 0.691
0.233 0.920 0.183
0.428 0.422 0.815
0.536 0.316 0.314
0.619 0.814 0.190
0.728 0.921 0.685
0.924 0.420 0.315
0.033 0.457 0.152
0.063 0.326 0.379
0.075 0.313 0.644
0.084 0.820 0.855
0.086 0.835 0.126
0.129 0.969 0.347
0.186 0.990 0.624
0.245 0.679 0.600
0.252 0.284 0.829
0.325 0.075 0.090
0.332 0.571 0.910
0.398 0.176 0.399
0.403 0.786 0.172
0.458 0.486 0.379
0.533 0.463 0.652
0.567 0.321 0.872
0.574 0.305 0.147
0.581 0.818 0.354
0.583 0.829 0.634
0.630 0.976 0.848
0.694 0.986 0.117
0.748 0.285 0.331
0.752 0.677 0.101
0.832 0.073 0.591
0.837 0.573 0.410
0.900 0.786 0.676
0.907 0.178 0.900
0.967 0.490 0.872
```

Summary:
energy above the most stable polymorph in this dataset	3	meV/atom
ΔH_f (0 K)	-2643	meV/atom
total moment	4.001	μB per formula unit


What is the ΔH_f (0 K) in the third record? -2099 meV/atom


What is the formula in the fifth record? Li3Co2O5


Copy entry 2 word for word.
DFT (PBE+U) results for a geometry-optimized LiVCrP4O14 structure.

Structure (POSCAR):
```
LiVCrP4O14
1.0
7.166 0.000 0.000
0.009 8.070 0.000
3.532 0.001 9.023
Li V Cr P O
2 2 2 8 28
Direct
0.000 0.000 0.000
0.152 0.502 0.501
0.111 0.134 0.494
0.606 0.145 0.994
0.045 0.635 0.007
0.550 0.644 0.507
0.041 0.321 0.812
0.114 0.818 0.691
0.233 0.920 0.183
0.428 0.422 0.815
0.536 0.316 0.314
0.619 0.814 0.190
0.728 0.921 0.685
0.924 0.420 0.315
0.033 0.457 0.152
0.063 0.326 0.379
0.075 0.313 0.644
0.084 0.820 0.855
0.086 0.835 0.126
0.129 0.969 0.347
0.186 0.990 0.624
0.245 0.679 0.600
0.252 0.284 0.829
0.325 0.075 0.090
0.332 0.571 0.910
0.398 0.176 0.399
0.403 0.786 0.172
0.458 0.486 0.379
0.533 0.463 0.652
0.567 0.321 0.872
0.574 0.305 0.147
0.581 0.818 0.354
0.583 0.829 0.634
0.630 0.976 0.848
0.694 0.986 0.117
0.748 0.285 0.331
0.752 0.677 0.101
0.832 0.073 0.591
0.837 0.573 0.410
0.900 0.786 0.676
0.907 0.178 0.900
0.967 0.490 0.872
```

Summary:
energy above the most stable polymorph in this dataset	3	meV/atom
ΔH_f (0 K)	-2643	meV/atom
total moment	4.001	μB per formula unit